Density functional theory data (GGA-PBE) for an optimized crystal structure of La2MgNbO6.

Geometry as CIF:
```
data_La2MgNbO6
_space_group_name_H-M_alt 'P 1 21/c 1'
_space_group_IT_number 14
_cell_length_a 5.709
_cell_length_b 5.735
_cell_length_c 9.851
_cell_angle_alpha 90.00
_cell_angle_beta 125.36
_cell_angle_gamma 90.00
loop_
_space_group_symop_operation_xyz
'x,y,z'
'-x,-y,-z'
'-x,y+1/2,-z+1/2'
'x,-y+1/2,z+1/2'
loop_
_atom_site_label
_atom_site_type_symbol
_atom_site_fract_x
_atom_site_fract_y
_atom_site_fract_z
La1 La 0.241 0.056 0.251
Mg1 Mg 0.000 0.000 0.500
Nb1 Nb 0.500 0.000 0.000
O1 O 0.158 0.196 0.954
O2 O 0.243 0.706 0.946
O3 O 0.345 0.018 0.751
```

Properties
The magnetic moment is 2.0 μB per cell. The value obtained for the formation energy is -3442 meV per atom. As for the MP2020-corrected energy: -171.36 eV per cell.